No. 1
Below is a relaxed CsBi4Te6 crystal, with properties calculated at the PBE level.

Geometry as POSCAR:
```
CsBi4Te6
1.0
26.215 -2.231 0.000
26.215 2.231 0.000
-2.803 0.000 14.438
Cs Bi Te
4 16 24
direct
0.000 0.000 0.000
0.109 0.109 0.020
0.367 0.367 0.995
0.742 0.742 0.027
0.015 0.015 0.375
0.040 0.040 0.720
0.070 0.070 0.303
0.095 0.095 0.647
0.191 0.191 0.263
0.218 0.218 0.601
0.320 0.320 0.253
0.342 0.342 0.597
0.440 0.440 0.236
0.466 0.466 0.572
0.644 0.644 0.451
0.670 0.670 0.787
0.767 0.767 0.424
0.790 0.790 0.768
0.891 0.891 0.421
0.918 0.918 0.759
0.136 0.136 0.301
0.160 0.160 0.612
0.178 0.178 0.929
0.258 0.258 0.272
0.279 0.279 0.587
0.294 0.294 0.909
0.379 0.379 0.272
0.400 0.400 0.582
0.431 0.431 0.898
0.497 0.497 0.234
0.522 0.522 0.548
0.547 0.547 0.864
0.562 0.562 0.159
0.588 0.588 0.475
0.613 0.613 0.789
0.678 0.678 0.124
0.709 0.709 0.439
0.730 0.730 0.750
0.816 0.816 0.113
0.830 0.830 0.434
0.852 0.852 0.749
0.931 0.931 0.094
0.950 0.950 0.412
0.974 0.974 0.722
```

Summary:
- energy of formation (meV/atom) = -544
- energy with MP2020 corrections (eV/atom) = -3.75

No. 2
Below is a relaxed Sr2DyCu2Bi2O8 crystal, with properties calculated at the PBE level.

Geometry as POSCAR:
```
Sr2DyCu2Bi2O8
1.0
2.752 -15.406 0.000
2.752 15.406 0.000
0.000 0.000 5.355
Sr Dy Cu Bi O
4 2 4 4 16
direct
0.110 0.387 0.000
0.387 0.110 0.500
0.613 0.890 0.500
0.890 0.613 0.000
0.000 0.500 0.000
0.500 0.000 0.500
0.050 0.450 0.500
0.450 0.050 0.000
0.550 0.950 0.000
0.950 0.550 0.500
0.224 0.321 0.500
0.321 0.224 0.000
0.679 0.776 0.000
0.776 0.679 0.500
0.126 0.358 0.500
0.202 0.798 0.250
0.202 0.798 0.750
0.284 0.385 0.000
0.298 0.702 0.250
0.298 0.702 0.750
0.358 0.126 0.000
0.385 0.284 0.500
0.615 0.716 0.500
0.642 0.874 0.000
0.702 0.298 0.250
0.702 0.298 0.750
0.716 0.615 0.000
0.798 0.202 0.250
0.798 0.202 0.750
0.874 0.642 0.500
```

Summary:
- energy of formation (meV/atom) = -2183
- total moment (μB/atom) = 0.012
- energy with MP2020 corrections (eV/atom) = -6.42

| no. | VASP energy (eV/f.u.) | energy relative to the lowest polymorph listed for this composition (eV/atom) |
| --- | --- | --- |
| 1 | -38.77 | 0.0516 |
| 2 | -90.80 | 0.0000 |